The following is a GGA-PBE calculation of a relaxed Sn crystal, from Materials Project.

Cell: 3.335 3.335 3.335 Å, 119.06 108.24 101.61°
Fractional coordinates of all 1 atoms:
Sn1 0.000 0.000 0.000

Space group: Immm (71)
ΔE to the lowest computed polymorph (eV per formula unit): 0.07
Total magnetization (μB per atom): 0.001
Electronic total energy (eV/cell): -3.94


The following is a GGA-PBE calculation of a relaxed Gd3MnB7 crystal, from Materials Project.

Cell: 8.139 8.139 9.371 Å, 90.00 90.00 24.46°
Fractional coordinates of all 22 atoms:
Gd1 0.241 0.241 0.750
B1 0.370 0.370 0.153
B2 0.630 0.630 0.847
B3 0.273 0.273 0.031
Gd2 0.896 0.896 0.939
B4 0.477 0.477 0.099
Gd3 0.104 0.104 0.061
Gd4 0.896 0.896 0.561
B5 0.273 0.273 0.469
Mn1 0.054 0.054 0.750
B6 0.727 0.727 0.969
B7 0.523 0.523 0.599
B8 0.727 0.727 0.531
Mn2 0.946 0.946 0.250
B9 0.523 0.523 0.901
B10 0.538 0.538 0.250
Gd5 0.104 0.104 0.439
B11 0.630 0.630 0.653
B12 0.370 0.370 0.347
B13 0.462 0.462 0.750
Gd6 0.759 0.759 0.250
B14 0.477 0.477 0.401

Space group: Cmcm (63)
Total magnetization (μB per atom): 1.921
Electronic total energy (eV/cell): -208.38


The following is a GGA-PBE calculation of a relaxed Li3Sn2P7O21 crystal, from Materials Project.

Cell: 6.762 7.503 20.473 Å, 91.85 93.29 115.38°
Fractional coordinates of all 66 atoms:
P1 0.271 0.702 0.939
O1 0.537 0.666 0.733
P2 0.176 0.774 0.485
Li1 0.445 0.256 0.566
Li2 0.555 0.744 0.434
O2 0.491 0.218 0.037
O3 0.560 0.088 0.670
O4 0.226 0.642 0.101
O5 0.333 0.604 0.254
O6 0.217 0.981 0.472
O7 0.989 0.289 0.458
O8 0.094 0.775 0.249
O9 0.973 0.376 0.577
O10 0.667 0.396 0.746
O11 0.407 0.426 0.826
O12 0.102 0.007 0.776
O13 0.946 0.003 0.659
P3 0.529 0.537 0.244
O14 0.440 0.912 0.330
O15 0.173 0.464 0.943
O16 0.774 0.358 0.899
P4 0.729 0.298 0.061
P5 0.928 0.288 0.933
Li3 0.230 0.810 0.751
O17 0.366 0.724 0.500
O18 0.827 0.536 0.057
Sn1 0.373 0.154 0.881
O19 0.269 0.306 0.706
Li4 0.770 0.190 0.249
P6 0.650 0.176 0.739
P7 0.824 0.226 0.515
O20 0.731 0.694 0.294
O21 0.011 0.711 0.542
O22 0.593 0.574 0.174
O23 0.118 0.666 0.661
O24 0.463 0.334 0.267
O25 0.882 0.334 0.339
O26 0.289 0.476 0.388
O27 0.027 0.624 0.423
O28 0.783 0.019 0.528
O29 0.477 0.947 0.207
Sn2 0.403 0.196 0.379
P8 0.049 0.116 0.723
P9 0.350 0.824 0.261
P10 0.951 0.884 0.277
O30 0.711 0.524 0.612
O31 0.954 0.111 0.906
O32 0.211 0.763 0.875
P11 0.050 0.427 0.396
Li5 0.246 0.147 0.087
Sn3 0.627 0.846 0.119
O33 0.868 0.240 0.008
O34 0.634 0.276 0.500
P12 0.950 0.573 0.604
O35 0.906 0.225 0.751
O36 0.789 0.237 0.125
P13 0.072 0.712 0.067
O37 0.898 0.993 0.224
O38 0.046 0.889 0.094
O39 0.523 0.053 0.793
O40 0.054 0.997 0.341
Sn4 0.597 0.804 0.621
O41 0.132 0.760 0.992
Li6 0.754 0.853 0.913
P14 0.471 0.463 0.756
O42 0.509 0.782 0.963

Space group: P-1 (2)
Total magnetization (μB per atom): 0.000
Electronic total energy (eV/cell): -446.59
MP2020-corrected energy (eV/atom): -7.204


The following is a GGA-PBE calculation of a relaxed SrNd2Cu2O6 crystal, from Materials Project.

Cell: 10.191 10.191 10.191 Å, 158.26 158.26 30.93°
Fractional coordinates of all 11 atoms:
O1 0.409 0.909 0.500
Sr1 0.000 0.000 0.000
Nd1 0.823 0.823 0.000
O2 0.091 0.591 0.500
O3 0.294 0.294 0.000
Cu1 0.411 0.411 0.000
Nd2 0.177 0.177 0.000
O4 0.591 0.091 0.500
Cu2 0.589 0.589 0.000
O5 0.706 0.706 0.000
O6 0.909 0.409 0.500

Space group: I4/mmm (139)
ΔE to the lowest computed polymorph (eV per formula unit): 0.00
Total magnetization (μB per atom): 0.000
Electronic total energy (eV/cell): -73.47
MP2020-corrected energy (eV/atom): -7.054